## KGdP4O12 (GGA-PBE)

Data for a relaxed structure of KGdP4O12.

Properties
The magnetic moment is 28.0 μB per cell. As for the space group: P2_1/c (14). The formation energy comes out at -2910 meV per atom.

Cell lengths 9.0712, 10.5212, 12.8888 Å; angles 54.54, 90.00, 90.00 degrees
Atoms (fractional coordinates):
1 K 0.4285 0.7502 0.9575
2 K 0.9285 0.2498 0.5425
3 K 0.5715 0.2498 0.0425
4 K 0.0715 0.7502 0.4575
5 Gd 0.2277 0.1849 0.8152
6 Gd 0.7277 0.8151 0.6848
7 Gd 0.2723 0.1849 0.3152
8 Gd 0.7723 0.8151 0.1848
9 P 0.6699 0.1809 0.3585
10 P 0.9768 0.4800 0.7696
11 P 0.6062 0.6973 0.4804
12 P 0.4055 0.8868 0.2599
13 P 0.9055 0.1132 0.2401
14 P 0.4768 0.5200 0.7304
15 P 0.3938 0.3027 0.5196
16 P 0.8938 0.6973 0.9804
17 P 0.0945 0.8868 0.7599
18 P 0.5232 0.4800 0.2696
19 P 0.1699 0.8191 0.1415
20 P 0.0232 0.5200 0.2304
21 P 0.1062 0.3027 0.0196
22 P 0.3301 0.8191 0.6415
23 P 0.8301 0.1809 0.8585
24 P 0.5945 0.1132 0.7401
25 O 0.9093 0.6394 0.6880
26 O 0.5367 0.9265 0.1749
27 O 0.5501 0.2369 0.5933
28 O 0.4697 0.8616 0.6771
29 O 0.0907 0.3606 0.3120
30 O 0.8401 0.7996 0.0183
31 O 0.3202 0.0179 0.2455
32 O 0.2084 0.7751 0.7499
33 O 0.4119 0.4372 0.2079
34 O 0.4536 0.4637 0.3931
35 O 0.9697 0.1384 0.8229
36 O 0.0881 0.4372 0.7079
37 O 0.2921 0.3379 0.5918
38 O 0.7623 0.0763 0.9881
39 O 0.4093 0.3606 0.8120
40 O 0.5881 0.5628 0.7921
41 O 0.6599 0.7996 0.5183
42 O 0.5907 0.6394 0.1880
43 O 0.1599 0.2004 0.9817
44 O 0.3451 0.6488 0.6680
45 O 0.7079 0.6621 0.4082
46 O 0.7377 0.0763 0.4881
47 O 0.0464 0.4637 0.8931
48 O 0.1549 0.6488 0.1680
49 O 0.0303 0.8616 0.1771
50 O 0.2377 0.9237 0.0119
51 O 0.2916 0.7751 0.2499
52 O 0.7084 0.2249 0.7501
53 O 0.0501 0.7631 0.9067
54 O 0.9499 0.2369 0.0933
55 O 0.9119 0.5628 0.2921
56 O 0.6798 0.9821 0.7545
57 O 0.3401 0.2004 0.4817
58 O 0.1798 0.0179 0.7455
59 O 0.4633 0.0735 0.8251
60 O 0.2079 0.3379 0.0918
61 O 0.4499 0.7631 0.4067
62 O 0.7916 0.2249 0.2501
63 O 0.2623 0.9237 0.5119
64 O 0.8451 0.3512 0.8320
65 O 0.5303 0.1384 0.3229
66 O 0.8202 0.9821 0.2545
67 O 0.5464 0.5363 0.6069
68 O 0.9633 0.9265 0.6749
69 O 0.7921 0.6621 0.9082
70 O 0.9536 0.5363 0.1069
71 O 0.6549 0.3512 0.3320
72 O 0.0367 0.0735 0.3251